[1]
# NpCo2Ge2 r²SCAN optimized geometry
data_NpCo2Ge2
_chemical_formula_sum 'Np1 Co2 Ge2'
_space_group_name_H-M_alt 'P 1'
_space_group_IT_number 1
_cell_length_a 3.945
_cell_length_b 3.945
_cell_length_c 5.766
_cell_angle_alpha 110.00
_cell_angle_beta 110.00
_cell_angle_gamma 90.00
loop_
_space_group_symop_operation_xyz
'x,y,z'
loop_
_atom_site_label
_atom_site_fract_x
_atom_site_fract_y
_atom_site_fract_z
Np1 0.000 0.000 0.000
Co1 0.250 0.750 0.500
Co2 0.750 0.250 0.500
Ge1 0.629 0.629 0.258
Ge2 0.371 0.371 0.742
# E	-139.183	eV/cell
# size of the total moment	4.18	μB per formula unit

[2]
# Co10Ge3O16 r²SCAN optimized geometry
data_Co10Ge3O16
_chemical_formula_sum 'Co10 Ge3 O16'
_space_group_name_H-M_alt 'P 1'
_space_group_IT_number 1
_cell_length_a 10.228
_cell_length_b 10.231
_cell_length_c 10.221
_cell_angle_alpha 33.77
_cell_angle_beta 33.78
_cell_angle_gamma 33.72
loop_
_space_group_symop_operation_xyz
'x,y,z'
loop_
_atom_site_label
_atom_site_fract_x
_atom_site_fract_y
_atom_site_fract_z
Co1 0.751 0.751 0.241
Co2 0.751 0.241 0.751
Co3 0.241 0.751 0.752
Co4 0.759 0.249 0.248
Co5 0.249 0.248 0.759
Co6 0.249 0.759 0.249
Co7 0.500 0.500 0.500
Co8 0.000 0.500 0.500
Co9 0.500 0.500 0.000
Co10 0.500 0.000 0.500
Ge1 0.812 0.812 0.810
Ge2 0.188 0.188 0.190
Ge3 0.000 0.000 0.000
O1 0.373 0.876 0.374
O2 0.877 0.372 0.375
O3 0.372 0.372 0.881
O4 0.627 0.124 0.626
O5 0.123 0.628 0.625
O6 0.628 0.628 0.119
O7 0.662 0.113 0.112
O8 0.111 0.111 0.663
O9 0.112 0.662 0.112
O10 0.889 0.889 0.337
O11 0.888 0.338 0.888
O12 0.338 0.887 0.888
O13 0.624 0.624 0.622
O14 0.127 0.128 0.125
O15 0.376 0.376 0.378
O16 0.873 0.872 0.875
# E	-309.024	eV/cell
# size of the total moment	30.00	μB per formula unit

[3]
# PrCoGe3 r²SCAN optimized geometry
data_PrCoGe3
_chemical_formula_sum 'Pr1 Co1 Ge3'
_space_group_name_H-M_alt 'P 1'
_space_group_IT_number 1
_cell_length_a 5.787
_cell_length_b 5.787
_cell_length_c 5.787
_cell_angle_alpha 136.30
_cell_angle_beta 136.30
_cell_angle_gamma 63.52
loop_
_space_group_symop_operation_xyz
'x,y,z'
loop_
_atom_site_label
_atom_site_fract_x
_atom_site_fract_y
_atom_site_fract_z
Pr1 0.432 0.432 0.000
Co1 0.766 0.766 0.000
Ge1 0.174 0.674 0.500
Ge2 0.998 0.998 0.000
Ge3 0.674 0.174 0.500
# E	-86.929	eV/cell
# size of the total moment	0.00	μB per formula unit

[4]
# PrCoGe2 r²SCAN optimized geometry
data_PrCoGe2
_chemical_formula_sum 'Pr2 Co2 Ge4'
_space_group_name_H-M_alt 'P 1'
_space_group_IT_number 1
_cell_length_a 8.577
_cell_length_b 8.577
_cell_length_c 4.213
_cell_angle_alpha 90.00
_cell_angle_beta 90.00
_cell_angle_gamma 151.17
loop_
_space_group_symop_operation_xyz
'x,y,z'
loop_
_atom_site_label
_atom_site_fract_x
_atom_site_fract_y
_atom_site_fract_z
Pr1 0.891 0.109 0.750
Pr2 0.109 0.891 0.250
Co1 0.683 0.317 0.750
Co2 0.317 0.683 0.250
Ge1 0.546 0.454 0.750
Ge2 0.454 0.546 0.250
Ge3 0.250 0.750 0.750
Ge4 0.750 0.250 0.250
# E	-145.930	eV/cell
# size of the total moment	0.00	μB per formula unit

[5]
# Sc2CoGe2 r²SCAN optimized geometry
data_Sc2CoGe2
_chemical_formula_sum 'Sc4 Co2 Ge4'
_space_group_name_H-M_alt 'P 1'
_space_group_IT_number 1
_cell_length_a 5.389
_cell_length_b 5.389
_cell_length_c 9.603
_cell_angle_alpha 63.76
_cell_angle_beta 63.76
_cell_angle_gamma 43.58
loop_
_space_group_symop_operation_xyz
'x,y,z'
loop_
_atom_site_label
_atom_site_fract_x
_atom_site_fract_y
_atom_site_fract_z
Sc1 0.994 0.994 0.333
Sc2 0.006 0.006 0.667
Sc3 0.819 0.819 0.107
Sc4 0.181 0.181 0.893
Co1 0.722 0.722 0.629
Co2 0.278 0.278 0.371
Ge1 0.648 0.648 0.425
Ge2 0.352 0.352 0.575
Ge3 0.520 0.520 0.126
Ge4 0.480 0.480 0.874
# E	-135.053	eV/cell
# size of the total moment	0.00	μB per formula unit

[6]
# Co2Ge3Se3 r²SCAN optimized geometry
data_Co2Ge3Se3
_chemical_formula_sum 'Co8 Ge12 Se12'
_space_group_name_H-M_alt 'P 1'
_space_group_IT_number 1
_cell_length_a 8.289
_cell_length_b 8.289
_cell_length_c 8.289
_cell_angle_alpha 89.93
_cell_angle_beta 89.93
_cell_angle_gamma 89.93
loop_
_space_group_symop_operation_xyz
'x,y,z'
loop_
_atom_site_label
_atom_site_fract_x
_atom_site_fract_y
_atom_site_fract_z
Co1 0.250 0.250 0.250
Co2 0.750 0.750 0.750
Co3 0.752 0.251 0.252
Co4 0.251 0.252 0.752
Co5 0.252 0.752 0.251
Co6 0.748 0.248 0.749
Co7 0.248 0.749 0.748
Co8 0.749 0.748 0.248
Ge1 0.999 0.329 0.843
Ge2 0.329 0.843 0.999
Ge3 0.843 0.999 0.329
Ge4 0.001 0.671 0.157
Ge5 0.671 0.157 0.001
Ge6 0.157 0.001 0.671
Ge7 0.498 0.828 0.657
Ge8 0.828 0.657 0.498
Ge9 0.657 0.498 0.828
Ge10 0.502 0.172 0.343
Ge11 0.172 0.343 0.502
Ge12 0.343 0.502 0.172
Se1 0.996 0.655 0.853
Se2 0.655 0.853 0.996
Se3 0.853 0.996 0.655
Se4 0.004 0.345 0.147
Se5 0.345 0.147 0.004
Se6 0.147 0.004 0.345
Se7 0.499 0.155 0.648
Se8 0.155 0.648 0.499
Se9 0.648 0.499 0.155
Se10 0.501 0.845 0.352
Se11 0.845 0.352 0.501
Se12 0.352 0.501 0.845
# E	-454.530	eV/cell
# size of the total moment	0.00	μB per formula unit

[7]
# SmCoGe2 r²SCAN optimized geometry
data_SmCoGe2
_chemical_formula_sum 'Sm2 Co2 Ge4'
_space_group_name_H-M_alt 'P 1'
_space_group_IT_number 1
_cell_length_a 8.515
_cell_length_b 8.515
_cell_length_c 4.157
_cell_angle_alpha 90.00
_cell_angle_beta 90.00
_cell_angle_gamma 151.44
loop_
_space_group_symop_operation_xyz
'x,y,z'
loop_
_atom_site_label
_atom_site_fract_x
_atom_site_fract_y
_atom_site_fract_z
Sm1 0.891 0.109 0.750
Sm2 0.109 0.891 0.250
Co1 0.682 0.318 0.750
Co2 0.318 0.682 0.250
Ge1 0.545 0.455 0.750
Ge2 0.455 0.545 0.250
Ge3 0.250 0.750 0.750
Ge4 0.750 0.250 0.250
# E	-146.679	eV/cell
# size of the total moment	0.00	μB per formula unit

[8]
# SmCo2Ge2 r²SCAN optimized geometry
data_SmCo2Ge2
_chemical_formula_sum 'Sm1 Co2 Ge2'
_space_group_name_H-M_alt 'P 1'
_space_group_IT_number 1
_cell_length_a 3.962
_cell_length_b 3.962
_cell_length_c 5.805
_cell_angle_alpha 109.95
_cell_angle_beta 109.95
_cell_angle_gamma 90.00
loop_
_space_group_symop_operation_xyz
'x,y,z'
loop_
_atom_site_label
_atom_site_fract_x
_atom_site_fract_y
_atom_site_fract_z
Sm1 0.000 0.000 0.000
Co1 0.250 0.750 0.500
Co2 0.750 0.250 0.500
Ge1 0.631 0.631 0.262
Ge2 0.369 0.369 0.738
# E	-86.741	eV/cell
# size of the total moment	0.00	μB per formula unit